Entry 1:
! RbNa3H4 PBE relaxed; values from VASP
! Calculated density: 1.78 Mg/m³
! Energy: -0.0879 hartree per atom
! Symmetry: No. 221
! ΔE_f: -165 meV/atom
&SYSTEM
  ibrav = 0, nat = 8, ntyp = 3
/
ATOMIC_SPECIES
Rb 85.47 Rb.upf
Na 22.99 Na.upf
H 1.01 H.upf
CELL_PARAMETERS angstrom
5.2859 0.0000 0.0000
0.0000 5.2859 0.0000
0.0000 0.0000 5.2859
ATOMIC_POSITIONS angstrom
Rb 2.6429 2.6429 2.6429
Na 0.0000 0.0000 2.6429
Na 0.0000 2.6429 0.0000
Na 2.6429 0.0000 0.0000
H 2.6429 2.6429 0.0000
H 2.6429 0.0000 2.6429
H 0.0000 2.6429 2.6429
H 0.0000 0.0000 0.0000

***

Entry 2:
! Na3H6Rh PBE relaxed; values from VASP
! Calculated density: 2.50 Mg/m³
! Energy: -0.1282 hartree per atom
! Symmetry: No. 62
! ΔE_f: -320 meV/atom
&SYSTEM
  ibrav = 0, nat = 40, ntyp = 3
/
ATOMIC_SPECIES
Na 22.99 Na.upf
H 1.01 H.upf
Rh 102.91 Rh.upf
CELL_PARAMETERS angstrom
5.2391 0.0000 0.0000
0.0000 9.3787 0.0000
0.0000 0.0000 9.6029
ATOMIC_POSITIONS angstrom
Na 1.3098 6.7601 7.2047
Na 3.9293 2.6186 2.3982
Na 1.3098 2.0707 7.1997
Na 3.9293 7.3080 2.4033
Na 1.3098 8.4231 0.3189
Na 3.9293 0.9556 9.2840
Na 1.3098 3.7337 4.4826
Na 3.9293 5.6450 5.1203
Na 1.3098 5.1073 1.2263
Na 3.9293 4.2714 8.3767
Na 1.3098 0.4180 3.5752
Na 3.9293 8.9608 6.0277
H 1.3098 7.6269 2.4132
H 3.9293 1.7518 7.1897
H 1.3098 2.9376 2.3882
H 3.9293 6.4412 7.2147
H 1.3098 5.8711 5.2413
H 3.9293 3.5077 4.3616
H 1.3098 1.1817 9.1631
H 3.9293 8.1970 0.4399
H 2.7797 3.6546 6.3627
H 0.1601 5.7241 3.2402
H 5.0790 8.3440 8.0417
H 2.4594 1.0348 1.5612
H 2.4594 5.7241 3.2402
H 5.0790 3.6546 6.3627
H 0.1601 1.0348 1.5612
H 2.7797 8.3440 8.0417
H 2.7321 6.2824 9.2668
H 0.1126 3.0964 0.3361
H 5.1265 1.5930 5.1376
H 2.5070 7.7857 4.4654
H 2.5070 3.0964 0.3361
H 5.1265 6.2824 9.2668
H 0.1126 7.7857 4.4654
H 2.7321 1.5930 5.1376
Rh 1.3098 6.7737 3.8464
Rh 3.9293 2.6050 5.7565
Rh 1.3098 2.0843 0.9550
Rh 3.9293 7.2944 8.6479

***

Entry 3:
! Na4H6Ru PBE relaxed; values from VASP
! Calculated density: 2.41 Mg/m³
! Energy: -0.1262 hartree per atom
! Symmetry: No. 167
! ΔE_f: -260 meV/atom
&SYSTEM
  ibrav = 0, nat = 22, ntyp = 3
/
ATOMIC_SPECIES
Na 22.99 Na.upf
H 1.01 H.upf
Ru 101.07 Ru.upf
CELL_PARAMETERS angstrom
-2.6523 5.4258 2.4079
0.9125 -2.1381 6.0719
5.8341 2.8606 0.2293
ATOMIC_POSITIONS angstrom
Na 1.0236 1.5371 2.1773
Na 3.0707 4.6113 6.5318
Na -0.2470 4.0311 6.0054
Na 3.8437 1.3365 5.9845
Na 3.5683 5.3920 3.2510
Na 0.2506 4.8118 2.7245
Na 0.5260 0.7564 5.4581
Na 4.3413 2.1172 2.7037
H 2.4607 1.4134 4.0257
H 2.2479 3.4750 2.6704
H 0.3608 2.7244 4.0874
H 1.8672 7.1481 2.7520
H -0.8131 2.1482 7.5418
H 6.0625 1.3907 4.8442
H 1.6336 4.7350 4.6834
H 1.8464 2.6734 6.0387
H 3.7335 3.4239 4.6217
H 2.2271 -0.9997 5.9571
H 4.9074 4.0002 1.1673
H -1.9682 4.7576 3.8649
Ru 2.0472 3.0742 4.3545
Ru 0.0000 0.0000 0.0000

***

Entry 4:
! NbH PBE relaxed; values from VASP
! Calculated density: 7.61 Mg/m³
! Energy: -0.2521 hartree per atom
! Symmetry: No. 139
! ΔE_f: -201 meV/atom
&SYSTEM
  ibrav = 0, nat = 2, ntyp = 2
/
ATOMIC_SPECIES
Nb 92.91 Nb.upf
H 1.01 H.upf
CELL_PARAMETERS angstrom
0.2700 0.3714 -2.9818
-2.8456 -1.0018 0.0291
-2.0378 1.8209 -1.2782
ATOMIC_POSITIONS angstrom
Nb 0.0000 0.0000 0.0000
H -1.2878 -0.3152 -1.4764

***

Entry 5:
! NbH2 PBE relaxed; values from VASP
! Calculated density: 6.58 Mg/m³
! Energy: -0.2150 hartree per atom
! Symmetry: No. 225
! ΔE_f: -340 meV/atom
&SYSTEM
  ibrav = 0, nat = 3, ntyp = 2
/
ATOMIC_SPECIES
Nb 92.91 Nb.upf
H 1.01 H.upf
CELL_PARAMETERS angstrom
1.7244 0.6247 2.6649
-1.4802 1.0673 2.6712
-0.2612 -1.9280 2.5846
ATOMIC_POSITIONS angstrom
Nb 0.0000 0.0000 0.0000
H -0.0128 -0.1770 5.9405
H -0.0043 -0.0590 1.9802

***

Entry 6:
! NbH PBE relaxed; values from VASP
! Calculated density: 7.35 Mg/m³
! Energy: -0.2533 hartree per atom
! Symmetry: No. 67
! ΔE_f: -234 meV/atom
&SYSTEM
  ibrav = 0, nat = 4, ntyp = 2
/
ATOMIC_SPECIES
Nb 92.91 Nb.upf
H 1.01 H.upf
CELL_PARAMETERS angstrom
1.8235 -2.4116 0.0000
1.8235 2.4116 0.0000
0.0000 0.0000 4.8261
ATOMIC_POSITIONS angstrom
Nb 1.8235 -1.2058 1.2941
Nb 1.8235 1.2058 3.5320
H 0.9118 0.0000 0.0000
H 2.7353 0.0000 0.0000

***

Entry 7:
! Rb6Nb6H14O27 PBE relaxed; values from VASP
! Calculated density: 3.26 Mg/m³
! Energy: -0.2017 hartree per atom
! Energy relative to the lowest polymorph listed for this composition: 0.8688 eV/atom
! Symmetry: No. 1
! ΔE_f: -1168 meV/atom
&SYSTEM
  ibrav = 0, nat = 106, ntyp = 4
/
ATOMIC_SPECIES
Rb 85.47 Rb.upf
Nb 92.91 Nb.upf
H 1.01 H.upf
O 16.00 O.upf
CELL_PARAMETERS angstrom
-9.7829 0.0000 0.0000
4.4707 9.6303 0.0000
-0.5167 -5.2688 -16.3899
ATOMIC_POSITIONS angstrom
Rb -2.5267 2.1351 -5.9272
Rb -3.2852 2.2668 -10.4068
Rb -4.1401 2.1734 -15.8112
Rb -1.6562 2.2031 -0.5501
Rb -7.8284 1.2829 -2.4227
Rb 2.0214 3.0873 -13.9476
Rb 2.8421 6.9835 -7.1862
Rb -8.6818 -2.6654 -9.2507
Rb -5.0460 -0.7340 -4.8030
Rb -0.8333 5.0661 -11.5902
Rb -2.4498 6.5923 -2.8768
Rb -3.3805 -2.2485 -13.5134
Nb -5.5082 3.9590 -3.0377
Nb -0.3114 0.4027 -13.3614
Nb 0.5174 5.0180 -5.7692
Nb -6.3385 -0.6410 -10.6115
Nb -8.2424 1.6247 -5.6650
Nb 2.4127 2.7375 -10.7257
Nb 3.3042 7.1425 -3.2157
Nb -9.1399 -2.7924 -13.1759
Nb 0.9653 4.8536 -2.9854
Nb -6.7985 -0.5186 -13.4165
Nb -5.9239 3.9203 -5.9197
Nb 0.0871 0.4472 -10.4775
H -0.4291 6.5547 -0.3814
H -5.4121 -2.2003 -16.0140
H -1.1668 4.0294 -14.8803
H -4.6583 0.3326 -1.5106
H 1.6382 3.6395 -7.9428
H -7.4740 0.7127 -8.4521
H -1.7760 -0.3245 -8.7591
H -4.0486 4.6847 -7.6153
H -6.3885 0.0919 -15.4924
H 0.5385 4.2410 -0.8970
H -3.3018 -0.9203 -8.8825
H -2.5282 5.2877 -7.4999
H -8.6102 -0.0959 -0.8837
H 2.7765 4.4532 -15.5141
H -1.3042 1.4219 -15.4663
H -4.5082 2.9378 -0.9187
H -6.5275 5.4215 -0.4324
H 0.7222 -1.0409 -15.9401
H -6.3491 -4.0413 -14.1746
H 0.5180 8.3999 -2.2183
H -0.2481 1.9081 -7.6699
H -5.5769 2.4575 -8.7148
H -8.1025 -1.7998 -5.6284
H 2.2628 6.1478 -10.7710
H -8.0067 -4.2554 -15.9106
H 2.1713 8.6109 -0.4821
H -4.2690 7.2445 -4.8221
H -1.5596 -2.8911 -11.5657
O -0.8389 5.3571 -6.8773
O -4.9878 -0.9931 -9.5170
O 1.9894 4.3726 -6.9503
O -7.8203 -0.0106 -9.4477
O -4.9034 3.5684 -7.1085
O -0.9244 0.7890 -9.2885
O -6.5828 1.8088 -4.3146
O 0.7593 2.5537 -12.0772
O -0.1172 5.2287 -1.8342
O -5.7440 -0.9179 -14.5780
O -3.4437 7.8732 -4.7655
O -2.3974 -3.4987 -11.6236
O -2.3048 -0.8350 -8.4309
O -3.5279 5.2100 -7.9378
O -7.0227 1.7833 -6.7751
O 1.1910 2.5743 -9.6226
O -5.5325 6.2322 -4.7519
O -0.2933 -1.8639 -11.6438
O -7.0484 4.4003 -2.1297
O 1.2395 -0.0401 -14.2615
O -4.6865 3.6413 -4.5500
O -1.1587 0.7232 -11.8494
O -6.6054 0.8010 -15.8438
O 0.8263 3.5584 -0.5324
O -8.9089 -0.4151 -6.5836
O 3.0565 4.7777 -9.7967
O 0.4902 2.5665 -4.2832
O -6.3072 1.7994 -12.1035
O 2.3445 4.4007 -4.5504
O -8.1639 -0.0353 -11.8369
O -5.1430 6.2305 -2.3399
O -0.6730 -1.8789 -14.0481
O -7.6381 0.0234 -0.3807
O 1.8006 4.3278 -16.0077
O -0.3969 -0.4758 -2.2381
O -5.4266 4.8152 -14.1496
O -5.3600 -0.3725 -7.2085
O -0.4571 4.7443 -9.1402
O -1.1773 2.0163 -15.9131
O -4.6597 2.3411 -0.4809
O -1.0798 5.0464 -14.0538
O -4.7524 -0.6873 -2.3358
O 0.0646 2.5374 -6.6665
O -5.8899 1.8285 -9.7188
O -0.3515 5.1432 -4.4198
O -5.4740 -0.7804 -11.9677
O 1.9111 7.0233 -2.2685
O -7.7454 -2.6798 -14.1217
O -4.1379 3.6504 -1.9067
O -1.6386 0.6917 -14.5051
O 1.6236 7.0434 -4.6490
O -7.4482 -2.6771 -11.7495
O -2.1143 2.7616 -2.8547
O -4.1052 4.1218 -11.8413

***

Entry 8:
! Rb8Nb6H28O33 PBE relaxed; values from VASP
! Calculated density: 3.14 Mg/m³
! Energy: -0.2203 hartree per atom
! Symmetry: No. 14
! ΔE_f: -1942 meV/atom
&SYSTEM
  ibrav = 0, nat = 150, ntyp = 4
/
ATOMIC_SPECIES
Rb 85.47 Rb.upf
Nb 92.91 Nb.upf
H 1.01 H.upf
O 16.00 O.upf
CELL_PARAMETERS angstrom
-8.6916 -1.8804 -5.3239
6.1947 -13.7654 -5.2514
2.6215 -3.9363 13.4107
ATOMIC_POSITIONS angstrom
Rb 1.8191 -13.3142 5.9088
Rb 1.8695 -14.3707 -1.9505
Rb -1.6944 -6.2680 -3.0734
Rb -1.7448 -5.2114 4.7859
Rb 3.6759 -16.4717 4.2514
Rb 0.6381 -10.6660 -0.9899
Rb -3.5512 -3.1104 -1.4160
Rb -0.5134 -8.9161 3.8253
Rb -0.6458 -16.1191 2.7580
Rb -2.5300 -12.8767 -3.4612
Rb 0.7705 -3.4630 0.0774
Rb 2.6547 -6.7054 6.2966
Rb -2.4664 -15.3125 -7.9542
Rb -3.3721 -12.3556 0.6300
Rb 2.5911 -4.2696 10.7896
Rb 3.4967 -7.2265 2.2054
Nb -4.5181 -10.6667 -6.8892
Nb -1.4341 -16.5750 -1.6870
Nb 4.6427 -8.9155 9.7246
Nb 1.5588 -3.0071 4.5224
Nb -1.3042 -12.6523 3.8185
Nb -0.4058 -15.5931 -4.7595
Nb 1.4289 -6.9298 -0.9831
Nb 0.5305 -3.9890 7.5950
Nb 1.7998 -8.3936 -3.9801
Nb 5.2441 -15.1027 0.9167
Nb -1.6751 -11.1885 6.8155
Nb -5.1194 -4.4794 1.9188
H -0.6997 -13.0245 -6.5601
H -0.2535 -13.0716 0.8781
H 0.8243 -6.5576 9.3955
H 0.3781 -6.5106 1.9573
H -2.0924 -12.3679 -6.9137
H -0.8794 -14.1189 -0.1255
H 2.2171 -7.2142 9.7491
H 1.0041 -5.4632 2.9609
H 1.7948 -13.6832 -5.7403
H 1.2606 -11.5516 2.5291
H -1.6701 -5.8990 8.5757
H -1.1359 -8.0305 0.3063
H 5.2583 -16.4440 7.0388
H 2.4735 -11.2005 1.5830
H -5.1336 -3.1382 -4.2034
H -2.3489 -8.3816 1.2524
H 3.3535 -11.3122 -3.2575
H 4.5664 -13.0627 3.5308
H -3.2289 -8.2699 6.0930
H -4.4417 -6.5194 -0.6954
H 3.2820 -12.5277 -4.2894
H 3.4419 -11.9386 3.3916
H -3.1573 -7.0544 7.1248
H -3.3173 -7.6435 -0.5561
H -4.0486 -5.1905 8.3248
H -2.3906 -9.8192 -0.8972
H 4.1732 -14.3917 -5.4894
H 2.5153 -9.7630 3.7326
H 1.6909 -17.9126 1.9856
H -2.2896 -10.0120 -2.4566
H -1.5662 -1.6695 0.8498
H 2.4143 -9.5701 5.2920
H 1.2791 -13.8390 2.7570
H 0.3387 -12.6936 -4.2622
H -1.1545 -5.7432 0.0784
H -0.2140 -6.8885 7.0976
H 2.4973 -14.5534 2.0622
H 0.5369 -11.1415 -4.0923
H -2.3727 -5.0287 0.7732
H -0.4122 -8.4406 6.9278
H 5.5938 -14.3826 6.0767
H 3.8395 -11.4288 -0.2526
H -5.4692 -5.1995 -3.2413
H -3.7148 -8.1533 3.0881
H 4.4149 -14.3227 7.1980
H 3.3404 -12.8795 0.2924
H -4.2903 -5.2594 -4.3626
H -3.2158 -6.7026 2.5431
H 2.5577 -16.3807 0.5141
H -1.0352 -9.3413 -4.2566
H -2.4331 -3.2015 2.3213
H 1.1599 -10.2408 7.0920
H 1.4514 -17.1788 -0.3551
H -2.5634 -9.2020 -4.7681
H -1.3267 -2.4033 3.1905
H 2.6881 -10.3801 7.6036
O 3.0974 -6.8827 -2.6257
O 1.3108 -1.9682 6.7053
O 2.5789 -8.4461 -0.3778
O 6.6715 -16.5960 3.9692
O -2.4542 -11.1361 3.2132
O -6.5469 -2.9862 -1.1338
O -0.7316 -14.2254 4.9502
O -0.7673 -15.0905 -2.8360
O 0.8562 -5.3568 -2.1148
O 0.8919 -4.4916 5.6714
O 0.0480 -12.6808 2.5371
O 0.1947 -13.9512 -5.4037
O 0.0767 -6.9013 0.2983
O -0.0700 -5.6309 8.2391
O 0.7660 -9.5670 -4.9684
O 3.4857 -14.6660 0.5426
O -0.6414 -10.0151 7.8038
O -3.3611 -4.9162 2.2928
O 2.8762 -9.6754 -2.8517
O 5.4286 -14.4027 2.8011
O -2.7515 -9.9067 5.6871
O -5.3040 -5.1794 0.0344
O -3.6309 -9.0812 -5.9628
O 0.4810 -17.2738 -1.6320
O 3.7555 -10.5010 8.7982
O -0.3564 -2.3083 4.4674
O -3.7007 -12.1149 -6.1115
O -1.6312 -15.7691 -0.0493
O 3.8254 -7.4672 8.9469
O 1.7559 -3.8130 2.8848
O 6.0367 -12.0352 8.3057
O 6.2843 -13.5300 0.2793
O -5.9120 -7.5469 -5.4703
O -6.1596 -6.0521 2.5561
O -0.4997 -11.4652 5.2017
O -4.8929 -2.6475 1.1094
O 0.6244 -8.1170 -2.3663
O 5.0176 -16.9346 1.7260
O -1.1966 -12.5652 -7.2918
O -0.4808 -13.2114 -0.0822
O 1.3213 -7.0169 10.1272
O 0.6055 -6.3708 2.9176
O 2.7410 -13.4042 -5.9406
O 2.0577 -10.9414 2.4551
O -2.6163 -6.1779 8.7760
O -1.9330 -8.6408 0.3803
O 3.7741 -12.1822 -3.5125
O 4.2148 -12.2169 3.9305
O -3.6495 -7.3999 6.3479
O -4.0901 -7.3652 -1.0951
O 1.4170 -18.3275 2.8484
O -2.5384 -10.4825 -1.6149
O -1.2924 -1.2546 -0.0130
O 2.6631 -9.0996 4.4504
O 1.9464 -14.5710 2.8870
O 0.3498 -11.9676 -3.5760
O -1.8218 -5.0111 -0.0516
O -0.2251 -7.6145 6.4114
O 4.8217 -14.8736 6.4777
O 3.0737 -11.9339 0.1430
O -4.6970 -4.7085 -3.6423
O -2.9490 -7.6482 2.6924
O 2.0712 -17.2367 0.4446
O -1.9648 -9.2128 -3.9505
O -1.9465 -2.3454 2.3908
O 2.0895 -10.3694 6.7859

***

ΔE_f of number 5 (NbH2)?
-340 meV/atom

***

Which formula does entry 6 have?
NbH

***

Which value of calculated density does entry 3 give?
2.41 Mg/m³

***

The lowest energy belongs to which entry?
number 6